# 1
A relaxed structure of Li5MnCo2O8. Source: the Materials Project database, functional PBE+U.

Properties
E above lowest polymorph (meV per atom): 52
Formation energy from the elements (meV per atom): -1834
ρ (g cm⁻³): 3.96

abc: 10.0195 5.8289 5.8828
angles: 90.00 125.07 90.00
Last column: nearest neighbours and their distance in Å.
Space group C2/m (No. 12)
Asymmetric unit:
Li: 0.0000 0.0000 0.0000 (multiplicity 2)  6 O 2.15-2.20
Li: 0.0000 0.0000 0.5000 (multiplicity 2)  6 O 2.06-2.08
Li: 0.0000 0.5000 0.0000 (multiplicity 2)  6 O 2.06-2.08
Li: 0.2500 0.2500 0.0000 (multiplicity 4)  6 O 2.06-2.22
Mn: 0.0000 0.5000 0.5000 (multiplicity 2)  6 O 1.94-1.95
Co: 0.2500 0.2500 0.5000 (multiplicity 4)  6 O 1.93-2.08
O: 0.0109 0.2657 0.2761 (multiplicity 8)  1 Mn 1.94, 1 Co 1.96, 3 Li 2.08-2.14
O: 0.2378 0.5000 0.7407 (multiplicity 4)  1 Mn 1.95, 3 Li 2.06-2.15, 2 Co 2.08
O: 0.2505 0.0000 0.7159 (multiplicity 4)  2 Co 1.93, 2 Li 2.06

# 2
A relaxed structure of Li7Mn4CoO12. Source: the Materials Project database, functional PBE+U.

Properties
E above lowest polymorph (meV per atom): 21
Formation energy from the elements (meV per atom): -2063
ρ (g cm⁻³): 3.99

abc: 5.1909 5.9705 14.9785
angles: 96.53 95.12 108.92
Last column: nearest neighbours and their distance in Å.
Space group P-1 (No. 2)
Asymmetric unit:
Li: 0.0000 0.0000 0.0000 (multiplicity 1)  6 O 2.08-2.18
Li: 0.0604 0.6755 0.5746 (multiplicity 2)  5 O 2.05-2.20
Li: 0.0891 0.1701 0.5779 (multiplicity 2)  6 O 2.07-2.23
Li: 0.2457 0.4989 0.7487 (multiplicity 2)  5 O 2.02-2.16
Li: 0.2516 0.9981 0.7498 (multiplicity 2)  5 O 2.02-2.17
Li: 0.4079 0.3218 0.9204 (multiplicity 2)  6 O 2.09-2.22
Li: 0.4348 0.8260 0.9256 (multiplicity 2)  4 O 1.99-2.23
Li: 0.5000 0.5000 0.5000 (multiplicity 1)  6 O 2.06-2.18
Mn: 0.1587 0.3343 0.1653 (multiplicity 2)  4 O 1.92-2.01
Mn: 0.1728 0.8397 0.1638 (multiplicity 2)  6 O 1.87-2.02
Mn: 0.3327 0.6663 0.3374 (multiplicity 2)  6 O 1.89-2.01
Mn: 0.3445 0.1690 0.3372 (multiplicity 2)  4 O 1.89-2.02
Co: 0.0000 0.5000 0.0000 (multiplicity 1)  6 O 1.94-2.12
Co: 0.5000 0.0000 0.5000 (multiplicity 1)  6 O 1.95-1.98
O: 0.0537 0.3561 0.2905 (multiplicity 2)  2 Mn 1.95-2.00, 3 Li 2.08-2.17
O: 0.0789 0.9983 0.8657 (multiplicity 2)  2 Mn 1.91-1.94, 3 Li 2.02-2.14
O: 0.0803 0.8342 0.2906 (multiplicity 2)  3 Mn 2.00-2.02, 2 Li 2.13-2.23
O: 0.1118 0.4690 0.8776 (multiplicity 2)  1 Mn 1.94, 1 Co 1.98, 2 Li 2.09-2.12
O: 0.2219 0.6824 0.4542 (multiplicity 2)  1 Mn 1.89, 1 Co 1.98, 1 Li 2.05
O: 0.2390 0.1541 0.4548 (multiplicity 2)  1 Mn 1.89, 1 Co 1.98, 3 Li 2.06-2.09
O: 0.2557 0.3506 0.0448 (multiplicity 2)  1 Mn 1.92, 1 Co 1.94, 3 Li 2.08-2.13
O: 0.2972 0.8406 0.0503 (multiplicity 2)  1 Mn 1.87, 2 Li 1.99-2.06
O: 0.3860 0.0249 0.6203 (multiplicity 2)  1 Mn 1.94, 1 Co 1.95, 2 Li 2.09-2.12
O: 0.4165 0.4956 0.6329 (multiplicity 2)  2 Mn 1.91-1.96, 2 Li 2.02-2.08
O: 0.4221 0.6677 0.2105 (multiplicity 2)  3 Mn 2.00-2.02, 2 Li 2.14-2.22
O: 0.4498 0.1495 0.2122 (multiplicity 2)  2 Mn 1.95-2.00, 2 Li 2.08-2.16

# 3
A relaxed structure of Li7Mn2Co3O12. Source: the Materials Project database, functional PBE+U.

Properties
E above lowest polymorph (meV per atom): 41
Formation energy from the elements (meV per atom): -1893
ρ (g cm⁻³): 4.06

abc: 5.0492 5.1643 8.7802
angles: 73.07 84.66 79.95
Last column: nearest neighbours and their distance in Å.
Space group P1 (No. 1)
Asymmetric unit:
Li: 0.0000 0.0000 0.0000 (multiplicity 1)  6 O 2.05-2.25
Li: 0.0012 0.6546 0.3503 (multiplicity 1)  5 O 2.04-2.24
Li: 0.0039 0.3254 0.6656 (multiplicity 1)  6 O 2.07-2.26
Li: 0.2513 0.0803 0.4234 (multiplicity 1)  6 O 2.09-2.14
Li: 0.4902 0.4873 0.5102 (multiplicity 1)  5 O 2.06-2.20
Li: 0.4921 0.8296 0.1804 (multiplicity 1)  6 O 2.06-2.23
Li: 0.5037 0.1683 0.8323 (multiplicity 1)  5 O 2.01-2.20
Mn: 0.2461 0.4075 0.0910 (multiplicity 1)  6 O 1.94-1.97
Mn: 0.7472 0.2433 0.2592 (multiplicity 1)  6 O 1.89-2.02
Co: 0.2429 0.7512 0.7457 (multiplicity 1)  5 O 1.88-2.08
Co: 0.7431 0.9273 0.5840 (multiplicity 1)  6 O 1.92-2.12
Co: 0.7443 0.5838 0.9120 (multiplicity 1)  5 O 1.90-2.07
O: 0.1061 0.0737 0.2070 (multiplicity 1)  2 Mn 1.94-1.95, 3 Li 2.10-2.16
O: 0.1167 0.7072 0.5614 (multiplicity 1)  2 Co 1.88-2.05, 2 Li 2.07-2.10
O: 0.1259 0.3828 0.8929 (multiplicity 1)  1 Mn 1.94, 2 Co 2.04-2.11, 2 Li 2.11-2.14
O: 0.3679 0.7518 0.9643 (multiplicity 1)  1 Mn 1.97, 2 Co 2.02-2.08, 1 Li 2.12
O: 0.3872 0.4459 0.2810 (multiplicity 1)  2 Mn 1.95-1.96, 3 Li 2.06-2.18
O: 0.3918 0.0975 0.6365 (multiplicity 1)  2 Co 1.92-2.00, 4 Li 2.01-2.14
O: 0.6069 0.2189 0.0586 (multiplicity 1)  2 Mn 1.95-2.00, 1 Li 2.14, 1 Co 2.14
O: 0.6306 0.5478 0.7195 (multiplicity 1)  3 Co 1.90-2.12, 2 Li 2.10-2.12
O: 0.6451 0.9014 0.3724 (multiplicity 1)  1 Mn 1.89, 1 Co 2.01, 3 Li 2.04-2.11
O: 0.8554 0.2826 0.4516 (multiplicity 1)  1 Mn 1.90, 1 Co 2.01, 3 Li 2.06-2.12
O: 0.8756 0.9383 0.7996 (multiplicity 1)  3 Co 2.00-2.09, 3 Li 2.05-2.18
O: 0.8827 0.5881 0.1263 (multiplicity 1)  2 Mn 1.95-2.02, 1 Co 2.07

# 4
A relaxed structure of LiMnCo3O8. Source: the Materials Project database, functional PBE+U.

Properties
E above lowest polymorph (meV per atom): 20
Formation energy from the elements (meV per atom): -1449
ρ (g cm⁻³): 4.25

abc: 5.7287 5.9738 9.9875
angles: 104.96 90.65 118.44
Last column: nearest neighbours and their distance in Å.
Space group P1 (No. 1)
Asymmetric unit:
Li: 0.0000 0.0000 0.0000 (multiplicity 1)  6 O 2.14-2.30
Li: 0.4920 0.9952 0.4968 (multiplicity 1)  6 O 2.14-2.32
Mn: 0.2457 0.4971 0.2488 (multiplicity 1)  6 O 1.93-1.94
Mn: 0.7476 0.4974 0.7485 (multiplicity 1)  6 O 1.91-1.94
Co: 0.0015 0.4996 0.5000 (multiplicity 1)  6 O 1.87-1.92
Co: 0.2478 0.4966 0.7489 (multiplicity 1)  6 O 1.90-2.03
Co: 0.4930 0.4952 0.9979 (multiplicity 1)  6 O 1.87-1.92
Co: 0.4989 0.4974 0.4994 (multiplicity 1)  6 O 1.88-1.91
Co: 0.7471 0.4984 0.2489 (multiplicity 1)  6 O 1.99-2.04
Co: 0.9951 0.4977 0.9980 (multiplicity 1)  6 O 1.88-1.90
O: 0.0853 0.6974 0.8706 (multiplicity 1)  2 Co 1.88-2.03, 1 Mn 1.91
O: 0.1046 0.6972 0.3694 (multiplicity 1)  2 Co 1.89-1.99, 1 Mn 1.93
O: 0.1458 0.2997 0.8938 (multiplicity 1)  3 Co 1.87-2.02
O: 0.1520 0.3059 0.3871 (multiplicity 1)  2 Co 1.91, 1 Mn 1.94
O: 0.3401 0.6882 0.1095 (multiplicity 1)  2 Co 1.90-1.91, 1 Mn 1.94
O: 0.3475 0.6935 0.6035 (multiplicity 1)  3 Co 1.87-2.02
O: 0.3895 0.2992 0.1281 (multiplicity 1)  2 Co 1.89-1.99, 1 Mn 1.94
O: 0.4103 0.2971 0.6267 (multiplicity 1)  2 Co 1.88-2.03, 1 Mn 1.91
O: 0.5878 0.6962 0.3703 (multiplicity 1)  2 Co 1.89-2.00, 1 Mn 1.93
O: 0.5897 0.6865 0.8636 (multiplicity 1)  2 Co 1.90, 1 Mn 1.93
O: 0.6497 0.3047 0.8871 (multiplicity 1)  2 Co 1.89-1.92, 1 Mn 1.94
O: 0.6512 0.3020 0.3966 (multiplicity 1)  3 Co 1.88-2.04
O: 0.8405 0.6942 0.1017 (multiplicity 1)  3 Co 1.87-2.03
O: 0.8454 0.6909 0.6115 (multiplicity 1)  2 Co 1.90-1.92, 1 Mn 1.93
O: 0.9038 0.2975 0.1271 (multiplicity 1)  2 Co 1.89-2.01, 1 Mn 1.93
O: 0.9057 0.3082 0.6337 (multiplicity 1)  2 Co 1.90, 1 Mn 1.93

# 5
A relaxed structure of Li4MnCo2O7. Source: the Materials Project database, functional PBE+U.

Properties
E above lowest polymorph (meV per atom): 18
Formation energy from the elements (meV per atom): -1866
ρ (g cm⁻³): 4.11

abc: 33.6838 2.9249 5.1353
angles: 90.00 93.16 90.00
Last column: nearest neighbours and their distance in Å.
Space group C2/m (No. 12)
Asymmetric unit:
Li: 0.0000 0.0000 0.0000 (multiplicity 2)  6 O 2.10-2.12
Li: 0.0000 0.5000 0.5000 (multiplicity 2)  6 O 2.19-2.28
Li: 0.0693 0.0000 0.3517 (multiplicity 4)  6 O 2.02-2.22
Li: 0.1430 0.5000 0.2183 (multiplicity 4)  6 O 2.12-2.21
Li: 0.2142 0.0000 0.0712 (multiplicity 4)  6 O 2.13-2.15
Mn: 0.0692 0.5000 0.8681 (multiplicity 4)  5 O 1.82-2.00
Co: 0.1426 0.0000 0.7164 (multiplicity 4)  6 O 1.99-2.06
Co: 0.2141 0.5000 0.5723 (multiplicity 4)  6 O 2.01-2.07
O: 0.0394 0.5000 0.1520 (multiplicity 4)  1 Mn 1.82, 2 Li 2.02
O: 0.0401 0.0000 0.6950 (multiplicity 4)  2 Mn 1.95, 2 Li 2.07-2.12
O: 0.1040 0.0000 0.0150 (multiplicity 4)  2 Mn 2.00, 1 Co 2.06, 3 Li 2.14-2.19
O: 0.1082 0.5000 0.5700 (multiplicity 4)  2 Co 1.99, 1 Mn 2.07, 3 Li 2.21-2.22
O: 0.1770 0.5000 0.8794 (multiplicity 4)  3 Co 2.02-2.07, 3 Li 2.13-2.14
O: 0.1797 0.0000 0.4102 (multiplicity 4)  3 Co 2.02-2.06, 3 Li 2.12-2.15
O: 0.2482 0.0000 0.7326 (multiplicity 4)  3 Co 2.01-2.07, 3 Li 2.13-2.15

# 6
A relaxed structure of Li7Mn2Co3O12. Source: the Materials Project database, functional PBE+U.

Properties
E above lowest polymorph (meV per atom): 85
Formation energy from the elements (meV per atom): -1848
ρ (g cm⁻³): 4.07

abc: 2.8872 5.1317 14.7760
angles: 80.34 85.02 88.85
Last column: nearest neighbours and their distance in Å.
Space group P1 (No. 1)
Asymmetric unit:
Li: 0.0000 0.0000 0.0000 (multiplicity 1)  3 O 1.96-2.01
Li: 0.0708 0.4095 0.8434 (multiplicity 1)  6 O 2.07-2.13
Li: 0.1468 0.8285 0.6815 (multiplicity 1)  6 O 2.02-2.21
Li: 0.3209 0.6621 0.3471 (multiplicity 1)  6 O 2.06-2.16
Li: 0.4926 0.4817 0.9973 (multiplicity 1)  6 O 2.06-2.31
Li: 0.6530 0.3386 0.6859 (multiplicity 1)  6 O 2.10-2.27
Li: 0.8180 0.1548 0.3493 (multiplicity 1)  6 O 2.06-2.30
Mn: 0.5706 0.9107 0.8435 (multiplicity 1)  6 O 1.91-1.97
Mn: 0.9054 0.5774 0.1768 (multiplicity 1)  6 O 1.92-1.96
Co: 0.2372 0.2453 0.5113 (multiplicity 1)  6 O 1.91-2.09
Co: 0.4063 0.0782 0.1760 (multiplicity 1)  6 O 2.02-2.09
Co: 0.7380 0.7444 0.5114 (multiplicity 1)  6 O 1.92-2.08
O: 0.0396 0.7236 0.9182 (multiplicity 1)  2 Mn 1.96-1.97, 4 Li 2.01-2.16
O: 0.1005 0.0983 0.7698 (multiplicity 1)  2 Mn 1.95-1.97, 3 Li 2.05-2.10
O: 0.1788 0.5479 0.5867 (multiplicity 1)  3 Co 1.92-2.06
O: 0.2932 0.9436 0.4319 (multiplicity 1)  3 Co 1.97-2.09, 3 Li 2.06-2.08
O: 0.3797 0.3910 0.2507 (multiplicity 1)  2 Mn 1.96, 1 Co 2.09, 1 Li 2.15
O: 0.4301 0.7615 0.1047 (multiplicity 1)  2 Mn 1.94, 1 Co 2.08
O: 0.5295 0.1751 0.9230 (multiplicity 1)  1 Mn 1.93, 5 Li 1.96-2.13
O: 0.6115 0.6469 0.7662 (multiplicity 1)  1 Mn 1.91, 5 Li 2.02-2.13
O: 0.6789 0.0492 0.5849 (multiplicity 1)  3 Co 1.91-2.05
O: 0.7944 0.4431 0.4327 (multiplicity 1)  3 Co 1.96-2.08, 3 Li 2.08-2.12
O: 0.8653 0.8542 0.2516 (multiplicity 1)  1 Mn 1.94, 2 Co 2.02-2.09, 2 Li 2.12-2.16
O: 0.9455 0.3035 0.1022 (multiplicity 1)  1 Mn 1.92, 2 Co 2.02-2.07